A relaxed structure of Rb3Li2GaMo4O16. Source: Materials Project, functional GGA+U. Values from VASP.

Magnetization (μB per formula unit): 0.0
SG: I-42d (122)
Formation energy (eV per atom): -2.180

Cell and atoms, written as Quantum ESPRESSO input:
```
&SYSTEM
  ibrav = 0, nat = 52, ntyp = 5
/
ATOMIC_SPECIES
O 16.00 O.upf
Mo 95.94 Mo.upf
Rb 85.47 Rb.upf
Ga 69.72 Ga.upf
Li 6.94 Li.upf
CELL_PARAMETERS angstrom
-8.474 3.323 5.632
-2.070 0.927 -10.461
2.035 -10.246 2.335
ATOMIC_POSITIONS crystal
O 0.749 0.076 0.494
O 0.992 0.869 0.439
O 0.505 0.332 0.006
O 0.745 0.251 0.327
O 0.002 0.694 0.627
O 0.944 0.752 0.127
O 0.668 0.674 0.173
O 0.874 0.483 0.248
O 0.258 0.197 0.377
O 0.517 0.765 0.391
O 0.184 0.056 0.808
O 0.733 0.624 0.748
O 0.119 0.742 0.939
O 0.819 0.881 0.623
O 0.376 0.124 0.109
O 0.326 0.499 0.994
O 0.131 0.569 0.123
O 0.374 0.126 0.609
O 0.306 0.934 0.308
O 0.015 0.267 0.891
O 0.447 0.008 0.877
O 0.803 0.181 0.061
O 0.248 0.376 0.192
O 0.924 0.418 0.673
O 0.066 0.374 0.373
O 0.582 0.255 0.506
O 0.876 0.985 0.252
O 0.235 0.626 0.752
O 0.624 0.816 0.873
O 0.626 0.998 0.692
O 0.501 0.495 0.827
O 0.431 0.553 0.561
Mo 0.679 0.931 0.553
Mo 0.874 0.321 0.252
Mo 0.181 0.429 0.053
Mo 0.872 0.819 0.248
Mo 0.571 0.624 0.752
Mo 0.378 0.126 0.447
Mo 0.376 0.128 0.947
Mo 0.069 0.622 0.748
Rb 0.487 0.875 0.112
Rb 0.625 0.513 0.388
Rb 0.125 0.237 0.612
Rb 0.763 0.375 0.888
Rb 0.000 0.000 0.000
Rb 0.250 0.750 0.500
Ga 0.750 0.250 0.500
Ga 0.500 0.500 0.000
Li 0.125 0.751 0.126
Li 0.249 0.375 0.374
Li 0.625 0.999 0.874
Li 0.001 0.875 0.626
```